No. 1
Computed, not measured: a relaxed K4AsH5S3O16 crystal at the PBE level of DFT.

```
data_K4AsH5S3O16
_symmetry_space_group_name_H-M 'P 1'
_symmetry_Int_Tables_number 1
_symmetry_space_group_name_Hall 'P 1'
_cell_length_a 9.0319
_cell_length_b 10.3127
_cell_length_c 10.9411
_cell_angle_alpha 72.55
_cell_angle_beta 66.76
_cell_angle_gamma 65.28
loop_
_atom_site_label
_atom_site_type_symbol
_atom_site_fract_x
_atom_site_fract_y
_atom_site_fract_z
O1 O 0.0136 0.6457 0.3323
O2 O 0.5714 0.6724 0.3581
O3 O 0.0709 0.2263 0.3800
O4 O 0.9599 0.9559 0.7010
O5 O 0.2765 0.8168 0.3840
O6 O 0.5255 0.5141 0.8175
O7 O 0.1372 0.7022 0.7372
O8 O 0.5252 0.0696 0.6272
O9 O 0.5000 0.8588 0.1695
O10 O 0.9291 0.7737 0.6200
O11 O 0.9494 0.4284 0.8733
O12 O 0.5566 0.7429 0.8987
O13 O 0.6666 0.1909 0.2376
O14 O 0.0401 0.0441 0.2990
O15 O 0.8305 0.7818 0.8613
O16 O 0.5000 0.1412 0.8305
O17 O 0.7729 0.2950 0.8817
O18 O 0.4286 0.3276 0.6419
O19 O 0.0725 0.1702 0.8522
O20 O 0.4434 0.2571 0.1013
O21 O 0.9864 0.3543 0.6677
O22 O 0.0506 0.5716 0.1267
O23 O 0.1695 0.2182 0.1387
O24 O 0.3119 0.2974 0.3737
O25 O 0.6881 0.7026 0.6263
O26 O 0.4745 0.4859 0.1825
O27 O 0.7235 0.1832 0.6160
O28 O 0.2271 0.7050 0.1183
O29 O 0.8628 0.2978 0.2628
O30 O 0.4748 0.9304 0.3728
O31 O 0.3334 0.8091 0.7624
O32 O 0.9275 0.8298 0.1478
As1 As 0.5285 0.6827 0.7794
As2 As 0.4715 0.3173 0.2206
S1 S 0.5318 0.1788 0.6835
S2 S 0.9641 0.8040 0.7295
S3 S 0.4682 0.8212 0.3165
S4 S 0.0436 0.6856 0.1854
S5 S 0.0359 0.1960 0.2705
S6 S 0.9564 0.3144 0.8146
K1 K 0.7552 0.5723 0.1008
K2 K 0.2323 0.0710 0.5955
K3 K 0.2674 0.9784 0.0108
K4 K 0.2448 0.4277 0.8992
K5 K 0.2173 0.5454 0.5043
K6 K 0.7326 0.0216 0.9892
K7 K 0.7827 0.4546 0.4957
K8 K 0.7677 0.9290 0.4045
H1 H 0.7821 0.7255 0.6378
H2 H 0.3284 0.2392 0.1315
H3 H 0.8098 0.0907 0.6479
H4 H 0.6776 0.3865 0.8557
H5 H 0.3224 0.6135 0.1443
H6 H 0.7426 0.2381 0.2453
H7 H 0.2179 0.2745 0.3622
H8 H 0.2574 0.7619 0.7547
H9 H 0.6716 0.7608 0.8685
H10 H 0.1902 0.9093 0.3521
```

Properties
ΔE_f   -1897 meV per atom
V   839 Å³ per cell
Final energy   -5.57 eV per atom

No. 2
Computed, not measured: a relaxed Cr2HgS4 crystal at the PBE level of DFT.

```
data_Cr2HgS4
_symmetry_space_group_name_H-M 'P 1'
_symmetry_Int_Tables_number 1
_symmetry_space_group_name_Hall 'P 1'
_cell_length_a 3.5845
_cell_length_b 6.0310
_cell_length_c 6.8875
_cell_angle_alpha 77.55
_cell_angle_beta 90.00
_cell_angle_gamma 90.00
loop_
_atom_site_label
_atom_site_type_symbol
_atom_site_fract_x
_atom_site_fract_y
_atom_site_fract_z
S1 S 0.0000 0.7912 0.6866
S2 S 0.0000 0.2088 0.3134
S3 S 0.5000 0.7091 0.3065
S4 S 0.5000 0.2909 0.6935
Cr1 Cr 0.0000 0.5000 0.5000
Cr2 Cr 0.5000 0.0000 0.5000
Hg1 Hg 0.0000 0.5000 0.0000
```

Properties
ΔE_f   -763 meV per atom
V   145 Å³ per cell
Final energy   -5.64 eV per atom